(1)
## Na4MgNi4O10 (GGA+U)

Data for a relaxed Na4MgNi4O10 crystal.

```
data_Na4MgNi4O10
_chemical_formula_sum 'Na4 Mg1 Ni4 O10'
_space_group_name_H-M_alt 'P 1'
_space_group_IT_number 1
_cell_length_a 5.090
_cell_length_b 6.353
_cell_length_c 6.840
_cell_angle_alpha 105.70
_cell_angle_beta 98.19
_cell_angle_gamma 106.98
loop_
_space_group_symop_operation_xyz
'x,y,z'
loop_
_atom_site_label
_atom_site_type_symbol
_atom_site_fract_x
_atom_site_fract_y
_atom_site_fract_z
_atom_site_occupancy
Na1 Na 0.000 0.000 0.000 1
Na2 Na 0.106 0.350 0.373 1
Na3 Na 0.355 0.271 0.781 1
Na4 Na 0.706 0.531 0.547 1
Mg1 Mg 0.363 0.768 0.782 1
Ni1 Ni 0.150 0.854 0.379 1
Ni2 Ni 0.547 0.671 0.177 1
Ni3 Ni 0.757 0.057 0.578 1
Ni4 Ni 0.947 0.484 0.972 1
O1 O 0.044 0.442 0.712 1
O2 O 0.048 0.904 0.638 1
O3 O 0.240 0.390 0.080 1
O4 O 0.243 0.783 0.097 1
O5 O 0.423 0.738 0.481 1
O6 O 0.442 0.140 0.463 1
O7 O 0.668 0.633 0.898 1
O8 O 0.703 0.145 0.853 1
O9 O 0.850 0.551 0.242 1
O10 O 0.851 0.967 0.308 1
```

Results
Total energy after the MP2020 corrections ... -5.49 eV per atom
Energy relative to the elements ... -1.31 eV/atom
Uncorrected energy ... -4.60 eV/atom
Offset from the most stable computed form ... 186 kJ/mol of formula units

(2)
## Ba2MnCdFe2F14 (GGA+U)

Data for a relaxed Ba2MnCdFe2F14 crystal.

```
data_Ba2MnCdFe2F14
_chemical_formula_sum 'Ba8 Mn4 Cd4 Fe8 F56'
_space_group_name_H-M_alt 'C 1 2/c 1'
_space_group_IT_number 15
_cell_length_a 14.039
_cell_length_b 5.451
_cell_length_c 15.142
_cell_angle_alpha 90.00
_cell_angle_beta 91.09
_cell_angle_gamma 90.00
loop_
_space_group_symop_operation_xyz
'x,y,z'
'-x,-y,-z'
'-x,y,-z+1/2'
'x,-y,z+1/2'
'x+1/2,y+1/2,z'
'-x+1/2,-y+1/2,-z'
'-x+1/2,y+1/2,-z+1/2'
'x+1/2,-y+1/2,z+1/2'
loop_
_atom_site_label
_atom_site_type_symbol
_atom_site_fract_x
_atom_site_fract_y
_atom_site_fract_z
_atom_site_occupancy
Ba1 Ba 0.190 0.042 0.122 1
Mn1 Mn 0.000 0.500 0.000 1
Cd1 Cd 0.000 0.451 0.750 1
Fe1 Fe 0.120 0.001 0.876 1
F1 F 0.008 0.106 0.657 1
F2 F 0.057 0.407 0.124 1
F3 F 0.083 0.174 0.483 1
F4 F 0.125 0.280 0.298 1
F5 F 0.129 0.300 0.953 1
F6 F 0.165 0.211 0.778 1
F7 F 0.249 0.442 0.588 1
```

Results
Total energy after the MP2020 corrections ... -6.03 eV per atom
Energy relative to the elements ... -3.15 eV/atom
Uncorrected energy ... -5.40 eV/atom

(3)
## LiMnP3O9 (GGA+U)

Data for a relaxed LiMnP3O9 crystal.

```
data_LiMnP3O9
_chemical_formula_sum 'Li2 Mn2 P6 O18'
_space_group_name_H-M_alt 'P -1'
_space_group_IT_number 2
_cell_length_a 6.726
_cell_length_b 6.887
_cell_length_c 7.443
_cell_angle_alpha 78.84
_cell_angle_beta 86.93
_cell_angle_gamma 89.11
loop_
_space_group_symop_operation_xyz
'x,y,z'
'-x,-y,-z'
loop_
_atom_site_label
_atom_site_type_symbol
_atom_site_fract_x
_atom_site_fract_y
_atom_site_fract_z
_atom_site_occupancy
Li1 Li 0.155 0.061 0.181 1
Mn1 Mn 0.165 0.580 0.146 1
P1 P 0.140 0.722 0.557 1
P2 P 0.326 0.381 0.779 1
P3 P 0.351 0.940 0.801 1
O1 O 0.046 0.291 0.318 1
O2 O 0.122 0.780 0.353 1
O3 O 0.163 0.395 0.927 1
O4 O 0.188 0.873 0.948 1
O5 O 0.254 0.511 0.588 1
O6 O 0.300 0.866 0.614 1
O7 O 0.317 0.172 0.720 1
O8 O 0.437 0.104 0.162 1
O9 O 0.469 0.561 0.190 1
```

Results
Total energy after the MP2020 corrections ... -7.75 eV per atom
Energy relative to the elements ... -2.61 eV/atom
Uncorrected energy ... -7.18 eV/atom
Offset from the most stable computed form ... 28 kJ/mol of formula units

(4)
## Na4Ni5O10 (GGA+U)

Data for a relaxed Na4Ni5O10 crystal.

```
data_Na4Ni5O10
_chemical_formula_sum 'Na4 Ni5 O10'
_space_group_name_H-M_alt 'P -1'
_space_group_IT_number 2
_cell_length_a 5.168
_cell_length_b 6.357
_cell_length_c 6.944
_cell_angle_alpha 110.12
_cell_angle_beta 96.34
_cell_angle_gamma 105.92
loop_
_space_group_symop_operation_xyz
'x,y,z'
'-x,-y,-z'
loop_
_atom_site_label
_atom_site_type_symbol
_atom_site_fract_x
_atom_site_fract_y
_atom_site_fract_z
_atom_site_occupancy
Na1 Na 0.100 0.192 0.189 1
Na2 Na 0.313 0.621 0.624 1
Ni1 Ni 0.101 0.699 0.204 1
Ni2 Ni 0.296 0.098 0.598 1
Ni3 Ni 0.500 0.500 0.000 1
O1 O 0.018 0.775 0.475 1
O2 O 0.168 0.614 0.926 1
O3 O 0.185 0.182 0.860 1
O4 O 0.370 0.009 0.325 1
O5 O 0.395 0.592 0.287 1
```

Results
Total energy after the MP2020 corrections ... -5.67 eV per atom
Energy relative to the elements ... -1.26 eV/atom
Uncorrected energy ... -4.63 eV/atom

(5)
## Sr2EuWO6 (GGA+U)

Data for a relaxed Sr2EuWO6 crystal.

```
data_Sr2EuWO6
_chemical_formula_sum 'Sr8 Eu4 W4 O24'
_space_group_name_H-M_alt 'P n -3'
_space_group_IT_number 201
_cell_length_a 8.597
_cell_length_b 8.597
_cell_length_c 8.597
_cell_angle_alpha 90.00
_cell_angle_beta 90.00
_cell_angle_gamma 90.00
loop_
_space_group_symop_operation_xyz
'x,y,z'
'-x,-y,-z'
'-x+1/2,-y+1/2,z'
'x+1/2,y+1/2,-z'
'x,-y+1/2,-z+1/2'
'-x,y+1/2,z+1/2'
'-x+1/2,y,-z+1/2'
'x+1/2,-y,z+1/2'
'z,x,y'
'-z,-x,-y'
'z,-x+1/2,-y+1/2'
'-z,x+1/2,y+1/2'
'-z+1/2,x,-y+1/2'
'z+1/2,-x,y+1/2'
'-z+1/2,-x+1/2,y'
'z+1/2,x+1/2,-y'
'y,z,x'
'-y,-z,-x'
'-y+1/2,z,-x+1/2'
'y+1/2,-z,x+1/2'
'-y+1/2,-z+1/2,x'
'y+1/2,z+1/2,-x'
'y,-z+1/2,-x+1/2'
'-y,z+1/2,x+1/2'
loop_
_atom_site_label
_atom_site_type_symbol
_atom_site_fract_x
_atom_site_fract_y
_atom_site_fract_z
_atom_site_occupancy
Sr1 Sr 0.250 0.250 0.250 1
Sr2 Sr 0.250 0.250 0.750 1
Eu1 Eu 0.000 0.000 0.000 1
W1 W 0.000 0.000 0.500 1
O1 O 0.035 0.543 0.776 1
```

Results
Total energy after the MP2020 corrections ... -8.58 eV per atom
Energy relative to the elements ... -2.95 eV/atom
Uncorrected energy ... -7.72 eV/atom

(6)
## Li2TiFeP3O12 (GGA+U)

Data for a relaxed Li2TiFeP3O12 crystal.

```
data_Li2TiFeP3O12
_chemical_formula_sum 'Li8 Ti4 Fe4 P12 O48'
_space_group_name_H-M_alt 'P 1 21/c 1'
_space_group_IT_number 14
_cell_length_a 8.650
_cell_length_b 8.796
_cell_length_c 14.758
_cell_angle_alpha 90.00
_cell_angle_beta 125.55
_cell_angle_gamma 90.00
loop_
_space_group_symop_operation_xyz
'x,y,z'
'-x,-y,-z'
'-x,y+1/2,-z+1/2'
'x,-y+1/2,z+1/2'
loop_
_atom_site_label
_atom_site_type_symbol
_atom_site_fract_x
_atom_site_fract_y
_atom_site_fract_z
_atom_site_occupancy
Li1 Li 0.044 0.222 0.329 1
Li2 Li 0.401 0.227 0.179 1
Ti1 Ti 0.139 0.546 0.385 1
Fe1 Fe 0.366 0.544 0.116 1
P1 P 0.044 0.109 0.647 1
P2 P 0.249 0.606 0.646 1
P3 P 0.459 0.249 0.497 1
O1 O 0.019 0.231 0.184 1
O2 O 0.049 0.514 0.225 1
O3 O 0.077 0.597 0.653 1
O4 O 0.126 0.576 0.972 1
O5 O 0.177 0.581 0.523 1
O6 O 0.233 0.108 0.659 1
O7 O 0.279 0.147 0.926 1
O8 O 0.336 0.733 0.184 1
O9 O 0.363 0.649 0.427 1
O10 O 0.396 0.018 0.217 1
O11 O 0.429 0.156 0.574 1
O12 O 0.474 0.154 0.417 1
```

Results
Total energy after the MP2020 corrections ... -7.80 eV per atom
Energy relative to the elements ... -2.76 eV/atom
Uncorrected energy ... -7.25 eV/atom

(7)
## BaCo2Sn4O11 (GGA+U)

Data for a relaxed BaCo2Sn4O11 crystal.

```
data_BaCo2Sn4O11
_chemical_formula_sum 'Ba4 Co8 Sn16 O44'
_space_group_name_H-M_alt 'C 1 2/c 1'
_space_group_IT_number 15
_cell_length_a 6.150
_cell_length_b 10.740
_cell_length_c 14.290
_cell_angle_alpha 90.00
_cell_angle_beta 90.21
_cell_angle_gamma 90.00
loop_
_space_group_symop_operation_xyz
'x,y,z'
'-x,-y,-z'
'-x,y,-z+1/2'
'x,-y,z+1/2'
'x+1/2,y+1/2,z'
'-x+1/2,-y+1/2,-z'
'-x+1/2,y+1/2,-z+1/2'
'x+1/2,-y+1/2,z+1/2'
loop_
_atom_site_label
_atom_site_type_symbol
_atom_site_fract_x
_atom_site_fract_y
_atom_site_fract_z
_atom_site_occupancy
Ba1 Ba 0.000 0.168 0.250 1
Co1 Co 0.000 0.167 0.750 1
Co2 Co 0.250 0.250 0.000 1
Sn1 Sn 0.000 0.000 0.000 1
Sn2 Sn 0.007 0.498 0.354 1
Sn3 Sn 0.250 0.250 0.500 1
O1 O 0.000 0.353 0.750 1
O2 O 0.002 0.326 0.419 1
O3 O 0.007 0.164 0.577 1
O4 O 0.222 0.426 0.248 1
O5 O 0.238 0.086 0.081 1
O6 O 0.240 0.087 0.416 1
```

Results
Total energy after the MP2020 corrections ... -6.84 eV per atom
Energy relative to the elements ... -2.03 eV/atom
Uncorrected energy ... -6.24 eV/atom

(8)
## Li3Co3P4O16 (GGA+U)

Data for a relaxed Li3Co3P4O16 crystal.

```
data_Li3Co3P4O16
_chemical_formula_sum 'Li6 Co6 P8 O32'
_space_group_name_H-M_alt 'P 1 21 1'
_space_group_IT_number 4
_cell_length_a 7.584
_cell_length_b 7.890
_cell_length_c 9.974
_cell_angle_alpha 90.00
_cell_angle_beta 93.89
_cell_angle_gamma 90.00
loop_
_space_group_symop_operation_xyz
'x,y,z'
'-x,y+1/2,-z'
loop_
_atom_site_label
_atom_site_type_symbol
_atom_site_fract_x
_atom_site_fract_y
_atom_site_fract_z
_atom_site_occupancy
Li1 Li 0.149 0.000 0.076 1
Li2 Li 0.162 0.998 0.572 1
Li3 Li 0.336 0.727 0.677 1
Co1 Co 0.226 0.370 0.625 1
Co2 Co 0.245 0.353 0.122 1
Co3 Co 0.349 0.713 0.182 1
P1 P 0.050 0.161 0.856 1
P2 P 0.059 0.179 0.356 1
P3 P 0.438 0.542 0.399 1
P4 P 0.446 0.549 0.891 1
O1 O 0.011 0.482 0.100 1
O2 O 0.012 0.995 0.393 1
O3 O 0.095 0.799 0.654 1
O4 O 0.111 0.783 0.150 1
O5 O 0.135 0.166 0.719 1
O6 O 0.152 0.172 0.219 1
O7 O 0.196 0.217 0.964 1
O8 O 0.209 0.234 0.465 1
O9 O 0.293 0.504 0.788 1
O10 O 0.293 0.506 0.275 1
O11 O 0.341 0.556 0.528 1
O12 O 0.366 0.547 0.034 1
O13 O 0.401 0.919 0.101 1
O14 O 0.409 0.923 0.592 1
O15 O 0.485 0.227 0.143 1
O16 O 0.492 0.724 0.344 1
```

Results
Total energy after the MP2020 corrections ... -7.18 eV per atom
Energy relative to the elements ... -2.26 eV/atom
Uncorrected energy ... -6.57 eV/atom
Offset from the most stable computed form ... 0 kJ/mol of formula units